A relaxed structure of Mg10Ge3H4O18, computed with PBE-GGA.

Unit cell a=5.2315 b=14.3458 c=8.9869 alpha=90.00 beta=90.00 gamma=90.00
Fractional positions:
Mg (0.0000, 0.0000, 0.1599)
Mg (0.0000, 0.0000, 0.8401)
Mg (0.0000, 0.5000, 0.1754)
Mg (0.0000, 0.5000, 0.8246)
Mg (0.1561, 0.1779, 0.3246)
Mg (0.1561, 0.1779, 0.6754)
Mg (0.1604, 0.3261, 0.0000)
Mg (0.3396, 0.8261, 0.5000)
Mg (0.3439, 0.6779, 0.1754)
Mg (0.3439, 0.6779, 0.8246)
Mg (0.5000, 0.0000, 0.3246)
Mg (0.5000, 0.0000, 0.6754)
Mg (0.5000, 0.5000, 0.3401)
Mg (0.5000, 0.5000, 0.6599)
Mg (0.6561, 0.3221, 0.1754)
Mg (0.6561, 0.3221, 0.8246)
Mg (0.6604, 0.1739, 0.5000)
Mg (0.8396, 0.6739, 0.0000)
Mg (0.8439, 0.8221, 0.3246)
Mg (0.8439, 0.8221, 0.6754)
Ge (0.0000, 0.0000, 0.5000)
Ge (0.0160, 0.6231, 0.5000)
Ge (0.4840, 0.1231, 0.0000)
Ge (0.5000, 0.5000, 0.0000)
Ge (0.5160, 0.8769, 0.0000)
Ge (0.9840, 0.3769, 0.5000)
H (0.0762, 0.8097, 0.1005)
H (0.0762, 0.8097, 0.8995)
H (0.4238, 0.3097, 0.3995)
H (0.4238, 0.3097, 0.6005)
H (0.5762, 0.6903, 0.3995)
H (0.5762, 0.6903, 0.6005)
H (0.9238, 0.1903, 0.1005)
H (0.9238, 0.1903, 0.8995)
O (0.0105, 0.7475, 0.5000)
O (0.0212, 0.7538, 0.1564)
O (0.0212, 0.7538, 0.8436)
O (0.1513, 0.9238, 0.3495)
O (0.1513, 0.9238, 0.6505)
O (0.1761, 0.5844, 0.3336)
O (0.1761, 0.5844, 0.6664)
O (0.1826, 0.5818, 0.0000)
O (0.1887, 0.9148, 0.0000)
O (0.3113, 0.4148, 0.5000)
O (0.3174, 0.0818, 0.5000)
O (0.3239, 0.0844, 0.1664)
O (0.3239, 0.0844, 0.8336)
O (0.3487, 0.4238, 0.1505)
O (0.3487, 0.4238, 0.8495)
O (0.4788, 0.2538, 0.3436)
O (0.4788, 0.2538, 0.6564)
O (0.4895, 0.2475, 0.0000)
O (0.5105, 0.7525, 0.0000)
O (0.5212, 0.7462, 0.3436)
O (0.5212, 0.7462, 0.6564)
O (0.6513, 0.5762, 0.1505)
O (0.6513, 0.5762, 0.8495)
O (0.6761, 0.9156, 0.1664)
O (0.6761, 0.9156, 0.8336)
O (0.6826, 0.9182, 0.5000)
O (0.6887, 0.5852, 0.5000)
O (0.8113, 0.0852, 0.0000)
O (0.8174, 0.4182, 0.0000)
O (0.8239, 0.4156, 0.3336)
O (0.8239, 0.4156, 0.6664)
O (0.8487, 0.0762, 0.3495)
O (0.8487, 0.0762, 0.6505)
O (0.9788, 0.2462, 0.1564)
O (0.9788, 0.2462, 0.8436)
O (0.9895, 0.2525, 0.5000)

Raw total energy   -6.008 eV per atom


A relaxed structure of Ge7H8N2O15, computed with PBE-GGA.

Unit cell a=7.5663 b=7.5663 c=15.4224 alpha=102.03 beta=102.03 gamma=58.28
Fractional positions:
Ge (0.0000, 0.5000, 0.5000)
Ge (0.0621, 0.8501, 0.6471)
Ge (0.1343, 0.2337, 0.1241)
Ge (0.1499, 0.9379, 0.8529)
Ge (0.2337, 0.1343, 0.6241)
Ge (0.2345, 0.2832, 0.8366)
Ge (0.2832, 0.2345, 0.3366)
Ge (0.5000, 0.0000, 0.0000)
Ge (0.7168, 0.7655, 0.6634)
Ge (0.7655, 0.7168, 0.1634)
Ge (0.7663, 0.8657, 0.3759)
Ge (0.8501, 0.0621, 0.1471)
Ge (0.8657, 0.7663, 0.8759)
Ge (0.9379, 0.1499, 0.3529)
H (0.2241, 0.6518, 0.1249)
H (0.2383, 0.5602, 0.0171)
H (0.3217, 0.6244, 0.4307)
H (0.3482, 0.7759, 0.3751)
H (0.3756, 0.6783, 0.0693)
H (0.4294, 0.4469, 0.5889)
H (0.4398, 0.7617, 0.4829)
H (0.4469, 0.4294, 0.0889)
H (0.5531, 0.5706, 0.9111)
H (0.5602, 0.2383, 0.5171)
H (0.5706, 0.5531, 0.4111)
H (0.6244, 0.3217, 0.9307)
H (0.6518, 0.2241, 0.6249)
H (0.6783, 0.3756, 0.5693)
H (0.7617, 0.4398, 0.9829)
H (0.7759, 0.3482, 0.8751)
N (0.3238, 0.5802, 0.0762)
N (0.4198, 0.6762, 0.4238)
N (0.5802, 0.3238, 0.5762)
N (0.6762, 0.4198, 0.9238)
O (0.0278, 0.0822, 0.6175)
O (0.0488, 0.2027, 0.8326)
O (0.0822, 0.0278, 0.1175)
O (0.1313, 0.4723, 0.3997)
O (0.1321, 0.5475, 0.8857)
O (0.1600, 0.6301, 0.5687)
O (0.2027, 0.0488, 0.3326)
O (0.2238, 0.7762, 0.7500)
O (0.2264, 0.2376, 0.5316)
O (0.2376, 0.2264, 0.0316)
O (0.2671, 0.2850, 0.2267)
O (0.2850, 0.2671, 0.7267)
O (0.3699, 0.8400, 0.9313)
O (0.4525, 0.8679, 0.6143)
O (0.4723, 0.1313, 0.8997)
O (0.5277, 0.8687, 0.1003)
O (0.5475, 0.1321, 0.3857)
O (0.6301, 0.1600, 0.0687)
O (0.7150, 0.7329, 0.2733)
O (0.7329, 0.7150, 0.7733)
O (0.7624, 0.7736, 0.9684)
O (0.7736, 0.7624, 0.4684)
O (0.7762, 0.2238, 0.2500)
O (0.7973, 0.9512, 0.6674)
O (0.8400, 0.3699, 0.4313)
O (0.8679, 0.4525, 0.1143)
O (0.8687, 0.5277, 0.6003)
O (0.9178, 0.9722, 0.8825)
O (0.9512, 0.7973, 0.1674)
O (0.9722, 0.9178, 0.3825)

Raw total energy   -5.976 eV per atom


A relaxed structure of Rb4Ge9H15N5, computed with PBE-GGA.

Unit cell a=9.1803 b=15.3301 c=17.2950 alpha=90.00 beta=91.93 gamma=90.00
Fractional positions:
Rb (0.0506, 0.1476, 0.4498)
Rb (0.0506, 0.3524, 0.9498)
Rb (0.2233, 0.7269, 0.3528)
Rb (0.2233, 0.7731, 0.8528)
Rb (0.2469, 0.0508, 0.2468)
Rb (0.2469, 0.4492, 0.7468)
Rb (0.3133, 0.7207, 0.5927)
Rb (0.3133, 0.7793, 0.0927)
Rb (0.6867, 0.2207, 0.9073)
Rb (0.6867, 0.2793, 0.4073)
Rb (0.7531, 0.5508, 0.2532)
Rb (0.7531, 0.9492, 0.7532)
Rb (0.7767, 0.2269, 0.1472)
Rb (0.7767, 0.2731, 0.6472)
Rb (0.9494, 0.6476, 0.0502)
Rb (0.9494, 0.8524, 0.5502)
Ge (0.0124, 0.1605, 0.7867)
Ge (0.0124, 0.3395, 0.2867)
Ge (0.0462, 0.0684, 0.6609)
Ge (0.0462, 0.4316, 0.1609)
Ge (0.1160, 0.0071, 0.8255)
Ge (0.1160, 0.4929, 0.3255)
Ge (0.2046, 0.2180, 0.6895)
Ge (0.2046, 0.2820, 0.1895)
Ge (0.2276, 0.5572, 0.1983)
Ge (0.2276, 0.9428, 0.6983)
Ge (0.2757, 0.1585, 0.8475)
Ge (0.2757, 0.3415, 0.3475)
Ge (0.3170, 0.0797, 0.6198)
Ge (0.3170, 0.4203, 0.1198)
Ge (0.3965, 0.0091, 0.8096)
Ge (0.3965, 0.4909, 0.3096)
Ge (0.4596, 0.1549, 0.7353)
Ge (0.4596, 0.3451, 0.2353)
Ge (0.5404, 0.6549, 0.7647)
Ge (0.5404, 0.8451, 0.2647)
Ge (0.6035, 0.5091, 0.6904)
Ge (0.6035, 0.9909, 0.1904)
Ge (0.6830, 0.5797, 0.8802)
Ge (0.6830, 0.9203, 0.3802)
Ge (0.7243, 0.6585, 0.6525)
Ge (0.7243, 0.8415, 0.1525)
Ge (0.7724, 0.0572, 0.3017)
Ge (0.7724, 0.4428, 0.8017)
Ge (0.7954, 0.7180, 0.8105)
Ge (0.7954, 0.7820, 0.3105)
Ge (0.8840, 0.5071, 0.6745)
Ge (0.8840, 0.9929, 0.1745)
Ge (0.9538, 0.5684, 0.8391)
Ge (0.9538, 0.9316, 0.3391)
Ge (0.9876, 0.6605, 0.7133)
Ge (0.9876, 0.8395, 0.2133)
H (0.0409, 0.1541, 0.9609)
H (0.0409, 0.3459, 0.4609)
H (0.0731, 0.6114, 0.4794)
H (0.0731, 0.8886, 0.9794)
H (0.0750, 0.1609, 0.0547)
H (0.0750, 0.3391, 0.5547)
H (0.1850, 0.0105, 0.0495)
H (0.1850, 0.4895, 0.5495)
H (0.2117, 0.5861, 0.9394)
H (0.2117, 0.9139, 0.4394)
H (0.2962, 0.5750, 0.0237)
H (0.2962, 0.9250, 0.5237)
H (0.3341, 0.0002, 0.0013)
H (0.3341, 0.4998, 0.5013)
H (0.3387, 0.5211, 0.5941)
H (0.3387, 0.9789, 0.0941)
H (0.3552, 0.0959, 0.4581)
H (0.3552, 0.4041, 0.9581)
H (0.3792, 0.1711, 0.3906)
H (0.3792, 0.3289, 0.8906)
H (0.3786, 0.6227, 0.9530)
H (0.3786, 0.8773, 0.4530)
H (0.4205, 0.2283, 0.0742)
H (0.4205, 0.2717, 0.5742)
H (0.4260, 0.1595, 0.0022)
H (0.4260, 0.3405, 0.5022)
H (0.4775, 0.0803, 0.3925)
H (0.4775, 0.4197, 0.8925)
H (0.4955, 0.6342, 0.4145)
H (0.4955, 0.8658, 0.9145)
H (0.5045, 0.1342, 0.0855)
H (0.5045, 0.3658, 0.5855)
H (0.5225, 0.5803, 0.1075)
H (0.5225, 0.9197, 0.6075)
H (0.5740, 0.6595, 0.4978)
H (0.5740, 0.8405, 0.9978)
H (0.5795, 0.7283, 0.4258)
H (0.5795, 0.7717, 0.9258)
H (0.6214, 0.1227, 0.5470)
H (0.6214, 0.3773, 0.0470)
H (0.6208, 0.6711, 0.1094)
H (0.6208, 0.8289, 0.6094)
H (0.6448, 0.5959, 0.0419)
H (0.6448, 0.9041, 0.5419)
H (0.6613, 0.0211, 0.9059)
H (0.6613, 0.4789, 0.4059)
H (0.6659, 0.9998, 0.9987)
H (0.6659, 0.5002, 0.4987)
H (0.7038, 0.0750, 0.4763)
H (0.7038, 0.4250, 0.9763)
H (0.7883, 0.0861, 0.5606)
H (0.7883, 0.4139, 0.0606)
H (0.8150, 0.5105, 0.4505)
H (0.8150, 0.9895, 0.9505)
H (0.9250, 0.6609, 0.4453)
H (0.9250, 0.8391, 0.9453)
H (0.9269, 0.1114, 0.0206)
H (0.9269, 0.3886, 0.5206)
H (0.9591, 0.6541, 0.5391)
H (0.9591, 0.8459, 0.0391)
N (0.0074, 0.6645, 0.4868)
N (0.0074, 0.8355, 0.9868)
N (0.2754, 0.5278, 0.5442)
N (0.2754, 0.9722, 0.0442)
N (0.2795, 0.6181, 0.9789)
N (0.2795, 0.8819, 0.4789)
N (0.3749, 0.1050, 0.4003)
N (0.3749, 0.3950, 0.9003)
N (0.4880, 0.1851, 0.0473)
N (0.4880, 0.3149, 0.5473)
N (0.5120, 0.6851, 0.4527)
N (0.5120, 0.8149, 0.9527)
N (0.6251, 0.6050, 0.0997)
N (0.6251, 0.8950, 0.5997)
N (0.7205, 0.1181, 0.5211)
N (0.7205, 0.3819, 0.0211)
N (0.7246, 0.0278, 0.9558)
N (0.7246, 0.4722, 0.4558)
N (0.9926, 0.1645, 0.0132)
N (0.9926, 0.3355, 0.5132)

Raw total energy   -4.453 eV per atom


| no. | formation energy (eV/atom) | calculated density (Mg/m³) | V (Å³ per cell) |
| --- | --- | --- | --- |
| 1 | -2.58 | 3.708 | 674 |
| 2 | -1.60 | 3.573 | 729 |
| 3 | -0.32 | 2.951 | 2433 |